No. 1
A plane-wave DFT calculation with PBE with a Hubbard U was carried out for a geometry-optimized BaDyFe4O12 structure.

Properties
The total energy comes out at -6.214 eV per atom. The value obtained for the calculated volume is 228 Å³ per cell. The value obtained for the density is 5.21 g/cm3.

Structure (POSCAR):
```
BaDyFe4O12
1.0
5.460 0.000 0.000
0.000 5.460 0.000
0.000 0.000 7.651
Ba Dy Fe O
1 1 4 12
direct
0.000 0.000 0.000
0.500 0.500 0.500
0.000 0.500 0.252
0.000 0.500 0.748
0.500 0.000 0.252
0.500 0.000 0.748
0.000 0.500 0.000
0.000 0.500 0.500
0.262 0.262 0.270
0.262 0.262 0.730
0.262 0.738 0.270
0.262 0.738 0.730
0.500 0.000 0.000
0.500 0.000 0.500
0.738 0.262 0.270
0.738 0.262 0.730
0.738 0.738 0.270
0.738 0.738 0.730
```



No. 2
A plane-wave DFT calculation with PBE with a Hubbard U was carried out for a geometry-optimized Ba3DyUFeO9 structure.

Properties
The total energy comes out at -7.467 eV per atom. The value obtained for the calculated volume is 540 Å³ per cell. The value obtained for the density is 6.23 g/cm3.

Structure (POSCAR):
```
Ba3DyUFeO9
1.0
5.998 0.000 0.000
-2.999 5.195 0.000
0.000 0.000 17.318
Ba Dy U Fe O
6 2 2 2 18
direct
0.000 0.000 0.000
0.000 0.000 0.236
0.000 0.000 0.734
0.333 0.667 0.129
0.333 0.667 0.365
0.667 0.333 0.878
0.333 0.667 0.566
0.667 0.333 0.522
0.333 0.667 0.820
0.667 0.333 0.182
0.000 0.000 0.534
0.667 0.333 0.684
0.171 0.342 0.485
0.171 0.829 0.485
0.172 0.345 0.887
0.172 0.828 0.887
0.336 0.168 0.114
0.358 0.179 0.608
0.501 0.003 0.250
0.501 0.499 0.250
0.506 0.012 0.751
0.506 0.494 0.751
0.655 0.828 0.887
0.658 0.829 0.485
0.821 0.179 0.608
0.821 0.642 0.608
0.832 0.168 0.114
0.832 0.664 0.114
0.988 0.494 0.751
0.997 0.499 0.250
```



No. 3
A plane-wave DFT calculation with PBE with a Hubbard U was carried out for a geometry-optimized BaDy2MnO5 structure.

Properties
The total energy comes out at -7.730 eV per atom. The value obtained for the calculated volume is 524 Å³ per cell. The value obtained for the density is 7.57 g/cm3.

Structure (POSCAR):
```
BaDy2MnO5
1.0
12.517 0.000 0.000
0.000 5.804 0.000
0.000 0.000 7.214
Ba Dy Mn O
4 8 4 20
direct
0.101 0.250 0.081
0.399 0.750 0.581
0.601 0.250 0.419
0.899 0.750 0.919
0.074 0.750 0.400
0.207 0.250 0.623
0.293 0.750 0.123
0.426 0.250 0.900
0.574 0.750 0.100
0.707 0.250 0.877
0.793 0.750 0.377
0.926 0.250 0.600
0.152 0.750 0.808
0.348 0.250 0.308
0.652 0.750 0.692
0.848 0.250 0.192
0.065 0.002 0.662
0.065 0.498 0.662
0.101 0.750 0.079
0.224 0.501 0.362
0.224 0.999 0.362
0.276 0.001 0.862
0.276 0.499 0.862
0.399 0.250 0.579
0.435 0.502 0.162
0.435 0.998 0.162
0.565 0.002 0.838
0.565 0.498 0.838
0.601 0.750 0.421
0.724 0.501 0.138
0.724 0.999 0.138
0.776 0.001 0.638
0.776 0.499 0.638
0.899 0.250 0.921
0.935 0.502 0.338
0.935 0.998 0.338
```



No. 4
A plane-wave DFT calculation with PBE with a Hubbard U was carried out for a geometry-optimized BaSrDyMnO6 structure.

Properties
The total energy comes out at -6.963 eV per atom. The value obtained for the calculated volume is 143 Å³ per cell. The value obtained for the density is 6.27 g/cm3.

Structure (POSCAR):
```
BaSrDyMnO6
1.0
0.000 4.146 4.146
4.146 0.000 4.146
4.146 4.146 0.000
Ba Sr Dy Mn O
1 1 1 1 6
direct
0.000 0.000 0.000
0.500 0.500 0.500
0.750 0.750 0.750
0.250 0.250 0.250
0.018 0.018 0.482
0.018 0.482 0.018
0.018 0.482 0.482
0.482 0.018 0.018
0.482 0.018 0.482
0.482 0.482 0.018
```



No. 5
A plane-wave DFT calculation with PBE with a Hubbard U was carried out for a geometry-optimized Ba3Dy2MoO9 structure.

Properties
The total energy comes out at -7.243 eV per atom. The value obtained for the calculated volume is 483 Å³ per cell. The value obtained for the density is 6.72 g/cm3.

Structure (POSCAR):
```
Ba3Dy2MoO9
1.0
-3.050 4.325 9.154
3.050 -4.325 9.154
3.050 4.325 -9.154
Ba Dy Mo O
6 4 2 18
direct
0.080 0.339 0.741
0.235 0.000 0.235
0.402 0.661 0.741
0.598 0.339 0.259
0.765 0.000 0.765
0.920 0.661 0.259
0.000 0.500 0.500
0.172 0.172 0.000
0.500 0.500 0.000
0.828 0.828 0.000
0.334 0.834 0.500
0.666 0.166 0.500
0.090 0.339 0.250
0.090 0.840 0.750
0.101 0.830 0.271
0.253 0.500 0.753
0.260 0.531 0.271
0.260 0.989 0.729
0.410 0.139 0.728
0.410 0.682 0.272
0.442 0.170 0.271
0.558 0.830 0.729
0.590 0.318 0.728
0.590 0.861 0.272
0.740 0.011 0.271
0.740 0.469 0.729
0.747 0.500 0.247
0.899 0.170 0.729
0.910 0.160 0.250
0.910 0.661 0.750
```



No. 6
A plane-wave DFT calculation with PBE with a Hubbard U was carried out for a geometry-optimized BaDyNi4O12 structure.

Properties
The total energy comes out at -4.982 eV per atom. The value obtained for the calculated volume is 228 Å³ per cell. The value obtained for the density is 5.28 g/cm3.

Structure (POSCAR):
```
BaDyNi4O12
1.0
5.466 0.000 0.000
0.000 5.466 0.000
0.000 0.000 7.641
Ba Dy Ni O
1 1 4 12
direct
0.000 0.000 0.000
0.500 0.500 0.500
0.000 0.500 0.251
0.000 0.500 0.749
0.500 0.000 0.251
0.500 0.000 0.749
0.000 0.500 0.000
0.000 0.500 0.500
0.270 0.270 0.273
0.270 0.270 0.727
0.270 0.730 0.273
0.270 0.730 0.727
0.500 0.000 0.000
0.500 0.000 0.500
0.730 0.270 0.273
0.730 0.270 0.727
0.730 0.730 0.273
0.730 0.730 0.727
```



Look up the calculated volume of the second one. 540 Å³ per cell